# Er3Ge2Rh2 PBE relaxed
# Symmetry: Pbcm, No. 57
# Energy of formation from the pure elements in kcal/mol of atoms: -21.552
# Total energy in eV per cell: -176.88
data_Er3Ge2Rh2
_cell_length_a 5.5418
_cell_length_b 7.8302
_cell_length_c 13.1646
_cell_angle_alpha 90.00
_cell_angle_beta 90.00
_cell_angle_gamma 90.00
_symmetry_space_group_name_H-M 'P 1'
_symmetry_Int_Tables_number 1
_symmetry_space_group_name_Hall 'P 1'
loop_
_atom_site_label
_atom_site_fract_x
_atom_site_fract_y
_atom_site_fract_z
_atom_site_occupancy
Er1 0.1353 0.2488 0.2500 1
Er2 0.1353 0.2512 0.7500 1
Er3 0.3523 0.6068 0.1008 1
Er4 0.3523 0.6068 0.3992 1
Er5 0.3523 0.8932 0.6008 1
Er6 0.3523 0.8932 0.8992 1
Er7 0.6477 0.1068 0.1008 1
Er8 0.6477 0.1068 0.3992 1
Er9 0.6477 0.3932 0.6008 1
Er10 0.6477 0.3932 0.8992 1
Er11 0.8647 0.7488 0.2500 1
Er12 0.8647 0.7512 0.7500 1
Ge1 0.1584 0.2500 0.0000 1
Ge2 0.1584 0.2500 0.5000 1
Ge3 0.3697 0.6091 0.7500 1
Ge4 0.3697 0.8909 0.2500 1
Ge5 0.6303 0.1091 0.7500 1
Ge6 0.6303 0.3909 0.2500 1
Ge7 0.8416 0.7500 0.0000 1
Ge8 0.8416 0.7500 0.5000 1
Rh1 0.1256 0.5361 0.5934 1
Rh2 0.1256 0.5361 0.9066 1
Rh3 0.1256 0.9639 0.0934 1
Rh4 0.1256 0.9639 0.4066 1
Rh5 0.8744 0.0361 0.5934 1
Rh6 0.8744 0.0361 0.9066 1
Rh7 0.8744 0.4639 0.0934 1
Rh8 0.8744 0.4639 0.4066 1